[1]
A plane-wave DFT calculation with PBE was carried out for a geometry-optimized SiO2 structure.

SG   P2_1/c
Magnetization   0.00 μB/atom

a b c (Å): 4.127 5.075 6.957
angles (deg): 78.26 90.00 90.00
Sites, in units of the cell vectors:
Si: 0.997 0.200 0.335
Si: 0.000 0.000 0.000
Si: 0.503 0.700 0.335
Si: 0.500 0.500 0.000
Si: 0.497 0.300 0.665
Si: 0.003 0.800 0.665
O: 0.787 0.766 0.889
O: 0.772 0.960 0.222
O: 0.768 0.101 0.554
O: 0.732 0.601 0.554
O: 0.728 0.460 0.222
O: 0.713 0.266 0.889
O: 0.287 0.734 0.111
O: 0.272 0.540 0.778
O: 0.268 0.399 0.446
O: 0.232 0.899 0.446
O: 0.228 0.040 0.778
O: 0.213 0.234 0.111

[2]
A plane-wave DFT calculation with PBE was carried out for a geometry-optimized Eu6Sb6S17 structure.

SG   P2_12_12_1
Magnetization   1.44 μB/atom

a b c (Å): 8.306 15.407 22.916
angles (deg): 90.00 90.00 90.00
Sites, in units of the cell vectors:
Eu: 0.249 0.050 0.287
Eu: 0.251 0.950 0.787
Eu: 0.749 0.450 0.713
Eu: 0.751 0.550 0.213
Eu: 0.746 0.056 0.289
Eu: 0.754 0.944 0.789
Eu: 0.246 0.444 0.711
Eu: 0.254 0.556 0.211
Eu: 0.743 0.942 0.456
Eu: 0.757 0.058 0.956
Eu: 0.243 0.558 0.544
Eu: 0.257 0.442 0.044
Eu: 0.249 0.939 0.455
Eu: 0.251 0.061 0.955
Eu: 0.749 0.561 0.545
Eu: 0.751 0.439 0.045
Eu: 0.244 0.834 0.623
Eu: 0.256 0.166 0.123
Eu: 0.744 0.666 0.377
Eu: 0.756 0.334 0.877
Eu: 0.750 0.833 0.624
Eu: 0.750 0.167 0.124
Eu: 0.250 0.667 0.376
Eu: 0.250 0.333 0.876
Sb: 0.022 0.294 0.268
Sb: 0.478 0.706 0.768
Sb: 0.522 0.206 0.732
Sb: 0.978 0.794 0.232
Sb: 0.988 0.183 0.415
Sb: 0.512 0.817 0.915
Sb: 0.488 0.317 0.585
Sb: 0.012 0.683 0.085
Sb: 0.506 0.176 0.440
Sb: 0.994 0.824 0.940
Sb: 0.006 0.324 0.560
Sb: 0.494 0.676 0.060
Sb: 0.467 0.078 0.593
Sb: 0.033 0.922 0.093
Sb: 0.967 0.422 0.407
Sb: 0.533 0.578 0.907
Sb: 0.981 0.073 0.608
Sb: 0.519 0.927 0.108
Sb: 0.481 0.427 0.392
Sb: 0.019 0.573 0.892
Sb: 0.000 0.691 0.751
Sb: 0.500 0.309 0.251
Sb: 0.500 0.809 0.249
Sb: 0.000 0.191 0.749
S: 0.499 0.704 0.572
S: 0.001 0.296 0.072
S: 0.999 0.796 0.428
S: 0.501 0.204 0.928
S: 0.642 0.749 0.502
S: 0.858 0.251 0.002
S: 0.142 0.751 0.498
S: 0.358 0.249 0.998
S: 0.503 0.794 0.430
S: 0.997 0.206 0.930
S: 0.003 0.706 0.570
S: 0.497 0.294 0.070
S: 0.000 0.150 0.218
S: 0.500 0.850 0.718
S: 0.500 0.350 0.782
S: 0.000 0.650 0.282
S: 0.216 0.231 0.343
S: 0.284 0.769 0.843
S: 0.716 0.269 0.657
S: 0.784 0.731 0.157
S: 0.769 0.230 0.350
S: 0.731 0.770 0.850
S: 0.269 0.270 0.650
S: 0.231 0.730 0.150
S: 0.997 0.028 0.380
S: 0.503 0.972 0.880
S: 0.497 0.472 0.620
S: 0.003 0.528 0.120
S: 0.496 0.037 0.382
S: 0.004 0.963 0.882
S: 0.996 0.463 0.618
S: 0.504 0.537 0.118
S: 0.725 0.126 0.505
S: 0.775 0.874 0.005
S: 0.225 0.374 0.495
S: 0.275 0.626 0.995
S: 0.275 0.123 0.509
S: 0.225 0.877 0.009
S: 0.775 0.377 0.491
S: 0.725 0.623 0.991
S: 0.493 0.930 0.553
S: 0.007 0.070 0.053
S: 0.993 0.570 0.447
S: 0.507 0.430 0.947
S: 0.991 0.937 0.550
S: 0.509 0.063 0.050
S: 0.491 0.563 0.450
S: 0.009 0.437 0.950
S: 0.233 0.025 0.664
S: 0.267 0.975 0.164
S: 0.733 0.475 0.336
S: 0.767 0.525 0.836
S: 0.757 0.021 0.670
S: 0.743 0.979 0.170
S: 0.257 0.479 0.330
S: 0.243 0.521 0.830
S: 0.252 0.653 0.692
S: 0.248 0.347 0.192
S: 0.752 0.847 0.308
S: 0.748 0.153 0.808
S: 0.787 0.646 0.682
S: 0.713 0.354 0.182
S: 0.287 0.854 0.318
S: 0.213 0.146 0.818
S: 0.002 0.847 0.720
S: 0.498 0.153 0.220
S: 0.502 0.653 0.280
S: 0.998 0.347 0.780

[3]
A plane-wave DFT calculation with PBE was carried out for a geometry-optimized ZrAsRu structure.

SG   P-62m

a b c (Å): 6.641 6.641 3.944
angles (deg): 90.00 90.00 120.00
Sites, in units of the cell vectors:
Zr: 0.418 0.418 0.500
Zr: 0.582 0.000 0.500
Zr: 0.000 0.582 0.500
As: 0.000 0.000 0.500
As: 0.667 0.333 0.000
As: 0.333 0.667 0.000
Ru: 0.000 0.244 0.000
Ru: 0.244 0.000 0.000
Ru: 0.756 0.756 0.000

Number 1: formation enthalpy at 0 K -3.026 eV/atom. Number 2: formation enthalpy at 0 K -1.326 eV/atom. Number 3: formation enthalpy at 0 K -0.856 eV/atom.